Record 1
This record from the Materials Project database describes a geometry-optimized Ba8Bi4O17 structure. The functional is GGA-PBE.

The calculation puts the final energy at -5.91 eV per atom. Its symmetry is No. 8. Its energy of formation is -227 kJ per mole of atoms. The calculated volume comes out at 19.044 A^3/atom. Its crystal system is monoclinic. The calculation puts the calculated density at 6634 kg/m³.

Cell: 11.0612 11.0612 6.3980 Å, 106.19 106.19 47.80°
Element x y z (fractional)
Ba 0.0000 0.0000 0.0000
Ba 0.0706 0.5927 0.8010
Ba 0.2503 0.7948 0.5138
Ba 0.3583 0.3583 0.3294
Ba 0.4212 0.9524 0.1738
Ba 0.5927 0.0706 0.8010
Ba 0.7948 0.2503 0.5138
Ba 0.9524 0.4212 0.1738
Bi 0.1770 0.1770 0.6652
Bi 0.5005 0.5005 0.0251
Bi 0.6687 0.6687 0.6693
Bi 0.8307 0.8307 0.3278
O 0.0547 0.5872 0.3408
O 0.0904 0.0904 0.3716
O 0.0999 0.0999 0.8347
O 0.2454 0.2454 0.4715
O 0.2534 0.6879 0.0821
O 0.2583 0.2583 0.9673
O 0.4117 0.4117 0.7453
O 0.4135 0.9261 0.6613
O 0.5550 0.5550 0.3764
O 0.5821 0.5821 0.8911
O 0.5872 0.0547 0.3408
O 0.6879 0.2534 0.0821
O 0.7405 0.7405 0.4727
O 0.7514 0.7514 0.9972
O 0.9008 0.9008 0.6500
O 0.9084 0.9084 0.1829
O 0.9261 0.4135 0.6613


Record 2
This record from the Materials Project database describes a geometry-optimized Ba4Bi3O11 structure. The functional is GGA-PBE.

The calculation puts the final energy at -5.85 eV per atom. Its symmetry is No. 38. Its energy of formation is -209 kJ per mole of atoms. The calculated volume comes out at 19.185 A^3/atom. Its crystal system is orthorhombic. The calculation puts the calculated density at 6502 kg/m³.

Cell: 8.9353 6.2168 6.2168 Å, 89.99 90.00 90.00°
Element x y z (fractional)
Ba 0.2445 0.2305 0.7695
Ba 0.2445 0.7695 0.2305
Ba 0.7555 0.2305 0.7695
Ba 0.7555 0.7695 0.2305
Bi 0.0000 0.2423 0.2423
Bi 0.0000 0.7333 0.7333
Bi 0.5000 0.7321 0.7321
O 0.0000 0.4768 0.9757
O 0.0000 0.4865 0.4865
O 0.0000 0.9757 0.4768
O 0.0000 0.9841 0.9841
O 0.2312 0.2309 0.2309
O 0.2506 0.7330 0.7330
O 0.5000 0.4180 0.8245
O 0.5000 0.8245 0.4180
O 0.5000 0.9629 0.9629
O 0.7494 0.7330 0.7330
O 0.7688 0.2309 0.2309


Record 3
This record from the Materials Project database describes a geometry-optimized Ba16Bi16O45 structure. The functional is GGA-PBE.

The calculation puts the final energy at -5.87 eV per atom. Its symmetry is No. 25. Its energy of formation is -210 kJ per mole of atoms. The calculated volume comes out at 18.285 A^3/atom. Its crystal system is orthorhombic. The calculation puts the calculated density at 7384 kg/m³.

Cell: 4.3858 8.9547 35.8489 Å, 90.00 90.00 90.00°
Element x y z (fractional)
Ba 0.0000 0.2324 0.0000
Ba 0.0000 0.2359 0.3735
Ba 0.0000 0.2372 0.1304
Ba 0.0000 0.2376 0.5041
Ba 0.0000 0.2507 0.6257
Ba 0.0000 0.2603 0.7473
Ba 0.0000 0.2614 0.2519
Ba 0.0000 0.2673 0.8779
Ba 0.0000 0.7326 0.8779
Ba 0.0000 0.7386 0.2519
Ba 0.0000 0.7397 0.7473
Ba 0.0000 0.7493 0.6257
Ba 0.0000 0.7624 0.5041
Ba 0.0000 0.7628 0.1304
Ba 0.0000 0.7641 0.3735
Ba 0.0000 0.7676 0.0000
Bi 0.5000 0.0000 0.0643
Bi 0.5000 0.0000 0.1900
Bi 0.5000 0.0000 0.3132
Bi 0.5000 0.0000 0.4389
Bi 0.5000 0.0000 0.5644
Bi 0.5000 0.0000 0.6889
Bi 0.5000 0.0000 0.8135
Bi 0.5000 0.0000 0.9379
Bi 0.5000 0.5000 0.0641
Bi 0.5000 0.5000 0.1887
Bi 0.5000 0.5000 0.3144
Bi 0.5000 0.5000 0.4389
Bi 0.5000 0.5000 0.5635
Bi 0.5000 0.5000 0.6880
Bi 0.5000 0.5000 0.8135
Bi 0.5000 0.5000 0.9398
O 0.0000 0.0000 0.0628
O 0.0000 0.0000 0.1838
O 0.0000 0.0000 0.3189
O 0.0000 0.0000 0.4389
O 0.0000 0.0000 0.5604
O 0.0000 0.0000 0.6898
O 0.0000 0.0000 0.9422
O 0.0000 0.5000 0.1894
O 0.0000 0.5000 0.3127
O 0.0000 0.5000 0.5643
O 0.0000 0.5000 0.6921
O 0.0000 0.5000 0.8148
O 0.0000 0.5000 0.9353
O 0.5000 0.0000 0.0014
O 0.5000 0.0000 0.1264
O 0.5000 0.0000 0.2516
O 0.5000 0.0000 0.3766
O 0.5000 0.0000 0.5013
O 0.5000 0.0000 0.6258
O 0.5000 0.0000 0.7512
O 0.5000 0.0000 0.8769
O 0.5000 0.2482 0.4391
O 0.5000 0.2485 0.0631
O 0.5000 0.2490 0.5644
O 0.5000 0.2502 0.1892
O 0.5000 0.2503 0.3135
O 0.5000 0.2500 0.9388
O 0.5000 0.2514 0.8145
O 0.5000 0.2515 0.6886
O 0.5000 0.5000 0.0007
O 0.5000 0.5000 0.1265
O 0.5000 0.5000 0.2514
O 0.5000 0.5000 0.3761
O 0.5000 0.5000 0.5019
O 0.5000 0.5000 0.6268
O 0.5000 0.5000 0.7511
O 0.5000 0.5000 0.8762
O 0.5000 0.7485 0.6886
O 0.5000 0.7486 0.8145
O 0.5000 0.7498 0.1892
O 0.5000 0.7497 0.3135
O 0.5000 0.7500 0.9388
O 0.5000 0.7515 0.0631
O 0.5000 0.7510 0.5644
O 0.5000 0.7518 0.4391


Record 4
This record from the Materials Project database describes a geometry-optimized BaBi2O5 structure. The functional is GGA-PBE.

The calculation puts the final energy at -5.71 eV per atom. Its symmetry is No. 123. Its energy of formation is -177 kJ per mole of atoms. The calculated volume comes out at 20.885 A^3/atom. Its crystal system is tetragonal. The calculation puts the calculated density at 6314 kg/m³.

Cell: 4.2108 4.2108 9.4232 Å, 90.00 90.00 90.00°
Element x y z (fractional)
Ba 0.0000 0.0000 0.0000
Bi 0.5000 0.5000 0.2771
Bi 0.5000 0.5000 0.7229
O 0.0000 0.5000 0.1927
O 0.0000 0.5000 0.8073
O 0.5000 0.0000 0.1927
O 0.5000 0.0000 0.8073
O 0.5000 0.5000 0.5000


Record 5
This record from the Materials Project database describes a geometry-optimized Ba8Bi6O21 structure. The functional is GGA-PBE.

The calculation puts the final energy at -5.94 eV per atom. Its symmetry is No. 2. Its energy of formation is -220 kJ per mole of atoms. The calculated volume comes out at 17.588 A^3/atom. Its crystal system is triclinic. The calculation puts the calculated density at 7252 kg/m³.

Cell: 8.8886 10.8096 14.1008 Å, 96.98 90.52 113.46°
Element x y z (fractional)
Ba 0.0330 0.0720 0.3590
Ba 0.1052 0.2139 0.0720
Ba 0.1742 0.3583 0.7884
Ba 0.2453 0.5012 0.5019
Ba 0.3233 0.6483 0.2134
Ba 0.3944 0.7861 0.9330
Ba 0.4298 0.3578 0.2882
Ba 0.4649 0.9344 0.6410
Ba 0.5351 0.0656 0.3590
Ba 0.5702 0.6422 0.7118
Ba 0.6056 0.2139 0.0670
Ba 0.6767 0.3517 0.7866
Ba 0.7547 0.4988 0.4981
Ba 0.8258 0.6417 0.2116
Ba 0.8948 0.7861 0.9280
Ba 0.9670 0.9280 0.6410
Bi 0.0000 0.5000 0.0000
Bi 0.0711 0.6436 0.7146
Bi 0.1428 0.7846 0.4276
Bi 0.2089 0.9232 0.1419
Bi 0.2847 0.0710 0.8574
Bi 0.3542 0.2077 0.5760
Bi 0.5000 0.5000 0.0000
Bi 0.6458 0.7923 0.4240
Bi 0.7153 0.9290 0.1426
Bi 0.7911 0.0768 0.8581
Bi 0.8572 0.2154 0.5724
Bi 0.9289 0.3564 0.2854
O 0.0077 0.4419 0.6281
O 0.0167 0.4508 0.1541
O 0.0490 0.1033 0.8848
O 0.0969 0.1815 0.5493
O 0.1336 0.8458 0.7991
O 0.1392 0.7231 0.0549
O 0.1387 0.8228 0.2696
O 0.1562 0.7325 0.5805
O 0.1624 0.3733 0.3217
O 0.2507 0.4921 0.9709
O 0.2637 0.1111 0.2226
O 0.2777 0.0987 0.7019
O 0.2842 0.0142 0.0086
O 0.2897 0.0077 0.4906
O 0.3058 0.6597 0.7496
O 0.3972 0.7844 0.3944
O 0.4091 0.3899 0.6654
O 0.4169 0.3980 0.1168
O 0.4315 0.2993 0.9093
O 0.4375 0.3046 0.4562
O 0.4632 0.9385 0.1637
O 0.5368 0.0615 0.8363
O 0.5625 0.6954 0.5438
O 0.5685 0.7007 0.0907
O 0.5831 0.6020 0.8832
O 0.5909 0.6101 0.3346
O 0.6028 0.2156 0.6056
O 0.6942 0.3403 0.2504
O 0.7103 0.9923 0.5094
O 0.7158 0.9858 0.9914
O 0.7223 0.9013 0.2981
O 0.7363 0.8889 0.7774
O 0.7493 0.5079 0.0291
O 0.8376 0.6267 0.6783
O 0.8438 0.2675 0.4195
O 0.8613 0.1772 0.7304
O 0.8608 0.2769 0.9451
O 0.8664 0.1542 0.2009
O 0.9031 0.8185 0.4507
O 0.9510 0.8967 0.1152
O 0.9833 0.5492 0.8459
O 0.9923 0.5581 0.3719


Record 6
This record from the Materials Project database describes a geometry-optimized Ba13Bi11O36 structure. The functional is GGA-PBE.

The calculation puts the final energy at -5.94 eV per atom. Its symmetry is No. 2. Its energy of formation is -218 kJ per mole of atoms. The calculated volume comes out at 17.403 A^3/atom. Its crystal system is triclinic. The calculation puts the calculated density at 7411 kg/m³.

Cell: 10.7616 10.9103 10.9109 Å, 60.01 70.23 80.26°
Element x y z (fractional)
Ba 0.0000 0.0000 0.0000
Ba 0.1214 0.6663 0.2977
Ba 0.1216 0.3388 0.9535
Ba 0.1226 0.9950 0.6268
Ba 0.3747 0.6659 0.5424
Ba 0.3776 0.3336 0.2074
Ba 0.3814 0.0004 0.8721
Ba 0.6186 0.9996 0.1279
Ba 0.6224 0.6664 0.7926
Ba 0.6253 0.3341 0.4576
Ba 0.8774 0.0050 0.3732
Ba 0.8784 0.6612 0.0465
Ba 0.8786 0.3337 0.7023
Bi 0.0027 0.3334 0.3323
Bi 0.2524 0.0024 0.2523
Bi 0.2533 0.3364 0.5767
Bi 0.2527 0.6613 0.9184
Bi 0.5000 0.0000 0.5000
Bi 0.5001 0.3308 0.8357
Bi 0.4999 0.6692 0.1643
Bi 0.7473 0.3387 0.0816
Bi 0.7467 0.6636 0.4233
Bi 0.7476 0.9976 0.7477
Bi 0.9973 0.6666 0.6677
O 0.1280 0.4787 0.6575
O 0.1279 0.7008 0.7785
O 0.1289 0.8210 0.4352
O 0.1314 0.4755 0.0986
O 0.1315 0.3818 0.4322
O 0.1329 0.1422 0.3383
O 0.1335 0.1631 0.7415
O 0.1328 0.7855 0.0074
O 0.1342 0.0518 0.1175
O 0.3705 0.5212 0.8353
O 0.3707 0.8474 0.7354
O 0.3722 0.5196 0.3973
O 0.3729 0.2958 0.7214
O 0.3752 0.8612 0.1695
O 0.3746 0.9585 0.3923
O 0.3808 0.6211 0.0528
O 0.3828 0.1998 0.4944
O 0.3850 0.1760 0.0738
O 0.6150 0.8240 0.9262
O 0.6172 0.8002 0.5056
O 0.6192 0.3789 0.9472
O 0.6254 0.0415 0.6077
O 0.6248 0.1388 0.8305
O 0.6271 0.7042 0.2786
O 0.6278 0.4804 0.6027
O 0.6293 0.1526 0.2646
O 0.6295 0.4788 0.1647
O 0.8658 0.9482 0.8825
O 0.8672 0.2145 0.9926
O 0.8665 0.8369 0.2585
O 0.8671 0.8578 0.6617
O 0.8685 0.6182 0.5678
O 0.8686 0.5245 0.9014
O 0.8711 0.1790 0.5648
O 0.8721 0.2992 0.2215
O 0.8720 0.5213 0.3425


Record 7
This record from the Materials Project database describes a geometry-optimized Ba8Bi4O17 structure. The functional is GGA-PBE.

The calculation puts the final energy at -5.90 eV per atom. Its symmetry is No. 1. Its energy of formation is -226 kJ per mole of atoms. The calculated volume comes out at 19.586 A^3/atom. Its crystal system is triclinic. The calculation puts the calculated density at 6451 kg/m³.

Cell: 6.4236 6.4251 14.4728 Å, 102.54 102.71 90.11°
Element x y z (fractional)
Ba 0.0000 0.0000 0.0000
Ba 0.0796 0.5778 0.1626
Ba 0.1781 0.1554 0.3153
Ba 0.3518 0.3450 0.6862
Ba 0.4905 0.4900 0.9998
Ba 0.6606 0.6675 0.3151
Ba 0.7493 0.2386 0.4765
Ba 0.8474 0.8334 0.6862
Bi 0.2403 0.7319 0.4729
Bi 0.4143 0.9094 0.8228
Bi 0.5703 0.0639 0.1413
Bi 0.9130 0.4040 0.8173
O 0.0008 0.4651 0.9685
O 0.0013 0.9359 0.4248
O 0.1464 0.1530 0.7994
O 0.1528 0.6417 0.8072
O 0.3070 0.7993 0.6250
O 0.3222 0.8285 0.1216
O 0.3406 0.3005 0.1343
O 0.4413 0.4871 0.4281
O 0.4460 0.9307 0.4298
O 0.4862 0.0090 0.9754
O 0.6267 0.1129 0.2921
O 0.6625 0.1543 0.8025
O 0.6672 0.6462 0.8109
O 0.7878 0.8182 0.1243
O 0.8069 0.2861 0.1345
O 0.8284 0.3444 0.6617
O 0.9920 0.4886 0.4163


Record 8
This record from the Materials Project database describes a geometry-optimized Ba3Bi2P4O16 structure. The functional is GGA-PBE.

The calculation puts the final energy at -7.03 eV per atom. Its symmetry is No. 15. Its energy of formation is -279 kJ per mole of atoms. The calculated volume comes out at 15.403 A^3/atom. Its crystal system is monoclinic. The calculation puts the calculated density at 5217 kg/m³.

Cell: 11.3197 11.3197 8.8591 Å, 108.20 108.20 46.16°
Element x y z (fractional)
Ba 0.0549 0.9451 0.7500
Ba 0.1550 0.2776 0.7733
Ba 0.2776 0.1550 0.2733
Ba 0.7224 0.8450 0.7267
Ba 0.8450 0.7224 0.2267
Ba 0.9451 0.0549 0.2500
Bi 0.3607 0.4749 0.3126
Bi 0.4749 0.3607 0.8126
Bi 0.5251 0.6393 0.1874
Bi 0.6393 0.5251 0.6874
P 0.1021 0.6765 0.0110
P 0.1619 0.5480 0.5492
P 0.3235 0.8979 0.4890
P 0.4520 0.8381 0.9508
P 0.5480 0.1619 0.0492
P 0.6765 0.1021 0.5110
P 0.8381 0.4520 0.4508
P 0.8979 0.3235 0.9890
O 0.0129 0.8394 0.9537
O 0.0217 0.3212 0.4391
O 0.0218 0.6015 0.9248
O 0.0990 0.7104 0.1987
O 0.1606 0.9871 0.5463
O 0.1845 0.4692 0.3658
O 0.2541 0.6136 0.6004
O 0.2574 0.4010 0.6456
O 0.2896 0.9010 0.3013
O 0.2949 0.5500 0.0025
O 0.3212 0.0217 0.9391
O 0.3864 0.7459 0.8996
O 0.3985 0.9782 0.5752
O 0.4010 0.2574 0.1456
O 0.4500 0.7051 0.4975
O 0.4692 0.1845 0.8658
O 0.5308 0.8155 0.1342
O 0.5500 0.2949 0.5025
O 0.5990 0.7426 0.8544
O 0.6015 0.0218 0.4248
O 0.6136 0.2541 0.1004
O 0.6788 0.9783 0.0609
O 0.7051 0.4500 0.9975
O 0.7104 0.0990 0.6987
O 0.7426 0.5990 0.3544
O 0.7459 0.3864 0.3996
O 0.8155 0.5308 0.6342
O 0.8394 0.0129 0.4537
O 0.9010 0.2896 0.8013
O 0.9782 0.3985 0.0752
O 0.9783 0.6788 0.5609
O 0.9871 0.1606 0.0463


Record 9
This record from the Materials Project database describes a geometry-optimized BaBi6P4O20 structure. The functional is GGA-PBE.

The calculation puts the final energy at -6.65 eV per atom. Its symmetry is No. 2. Its energy of formation is -231 kJ per mole of atoms. The calculated volume comes out at 14.586 A^3/atom. Its crystal system is triclinic. The calculation puts the calculated density at 6739 kg/m³.

Cell: 7.1477 7.8056 9.2792 Å, 107.35 92.37 111.75°
Element x y z (fractional)
Ba 0.0000 0.0000 0.0000
Bi 0.2016 0.6935 0.6728
Bi 0.3264 0.1199 0.5093
Bi 0.4418 0.7966 0.0902
Bi 0.5582 0.2034 0.9098
Bi 0.6736 0.8801 0.4907
Bi 0.7984 0.3065 0.3272
P 0.0413 0.2697 0.7510
P 0.3536 0.4050 0.2618
P 0.6464 0.5950 0.7382
P 0.9587 0.7303 0.2490
O 0.0454 0.7866 0.4219
O 0.1327 0.8203 0.1644
O 0.1380 0.2862 0.2886
O 0.1453 0.4966 0.8264
O 0.1976 0.1732 0.7565
O 0.3282 0.9025 0.9015
O 0.3638 0.3322 0.0889
O 0.3966 0.6275 0.3155
O 0.4448 0.9726 0.6368
O 0.4873 0.6297 0.6422
O 0.5127 0.3703 0.3578
O 0.5552 0.0274 0.3632
O 0.6034 0.3725 0.6845
O 0.6362 0.6678 0.9111
O 0.6718 0.0975 0.0985
O 0.8024 0.8268 0.2435
O 0.8547 0.5034 0.1736
O 0.8620 0.7138 0.7114
O 0.8673 0.1797 0.8356
O 0.9546 0.2134 0.5781